DFT (r²SCAN) results for a relaxed structure of Gd3Mn2C6.

Volume, A^3/atom: 13.15
Formation energy from the elements, eV per atom: -0.328

a b c (Å): 8.1393 8.1393 5.0416
angles (deg): 90.00 90.00 120.00
Atoms (fractional coordinates):
Gd  0.0676  0.3824  0.2500
Gd  0.3147  0.9324  0.2500
Gd  0.3824  0.3147  0.7500
Gd  0.6176  0.6853  0.2500
Gd  0.6853  0.0676  0.7500
Gd  0.9324  0.6176  0.7500
Mn  0.0000  0.0000  0.0000
Mn  0.0000  0.0000  0.5000
Mn  0.3333  0.6667  0.7500
Mn  0.6667  0.3333  0.2500
C  0.0360  0.2293  0.7500
C  0.1397  0.4229  0.7500
C  0.1933  0.9640  0.7500
C  0.2293  0.1933  0.2500
C  0.2831  0.8603  0.7500
C  0.4229  0.2831  0.2500
C  0.5771  0.7169  0.7500
C  0.7169  0.1397  0.2500
C  0.7707  0.8067  0.7500
C  0.8067  0.0360  0.2500
C  0.8603  0.5771  0.2500
C  0.9640  0.7707  0.2500



DFT (r²SCAN) results for a relaxed structure of Gd2Mo2C3.

Volume, A^3/atom: 15.12
Formation energy from the elements, eV per atom: -0.382

a b c (Å): 6.1845 6.1845 5.7669
angles (deg): 112.54 112.54 31.54
Atoms (fractional coordinates):
Gd  0.1084  0.1084  0.3185
Gd  0.8916  0.8916  0.6815
Mo  0.3420  0.3420  0.1756
Mo  0.6580  0.6580  0.8244
C  0.2497  0.2497  0.7695
C  0.5000  0.5000  0.5000
C  0.7503  0.7503  0.2305



DFT (r²SCAN) results for a relaxed structure of Gd4Ni13C4.

Volume, A^3/atom: 12.84
Formation energy from the elements, eV per atom: -0.301

a b c (Å): 8.3548 8.3548 3.8631
angles (deg): 90.00 90.00 91.12
Atoms (fractional coordinates):
Gd  0.1883  0.8117  0.0000
Gd  0.3470  0.3470  0.0000
Gd  0.6530  0.6530  0.0000
Gd  0.8117  0.1883  0.0000
Ni  0.0000  0.0000  0.5000
Ni  0.0000  0.5000  0.0000
Ni  0.0736  0.2901  0.5000
Ni  0.1224  0.1224  0.0000
Ni  0.2153  0.5688  0.5000
Ni  0.2901  0.0736  0.5000
Ni  0.4312  0.7847  0.5000
Ni  0.5000  0.0000  0.0000
Ni  0.5688  0.2153  0.5000
Ni  0.7099  0.9264  0.5000
Ni  0.7847  0.4312  0.5000
Ni  0.8776  0.8776  0.0000
Ni  0.9264  0.7099  0.5000
C  0.0000  0.5000  0.5000
C  0.4430  0.5570  0.5000
C  0.5000  0.0000  0.5000
C  0.5570  0.4430  0.5000



DFT (r²SCAN) results for a relaxed structure of GdNiC2.

Volume, A^3/atom: 12.44
Formation energy from the elements, eV per atom: -0.384

a b c (Å): 3.6770 3.7558 3.7558
angles (deg): 73.55 90.00 90.00
Atoms (fractional coordinates):
Gd  0.0000  0.0000  0.0000
Ni  0.5000  0.6108  0.6108
C  0.5000  0.1493  0.4535
C  0.5000  0.4535  0.1493



DFT (r²SCAN) results for a relaxed structure of GdRh3C.

Volume, A^3/atom: 14.50
Formation energy from the elements, eV per atom: -0.500

a b c (Å): 4.1697 4.1697 4.1697
angles (deg): 90.00 90.00 90.00
Atoms (fractional coordinates):
Gd  0.0000  0.0000  0.0000
Rh  0.0000  0.5000  0.5000
Rh  0.5000  0.0000  0.5000
Rh  0.5000  0.5000  0.0000
C  0.5000  0.5000  0.5000



DFT (r²SCAN) results for a relaxed structure of GdRuC2.

Volume, A^3/atom: 13.20
Formation energy from the elements, eV per atom: -0.271

a b c (Å): 5.1383 5.1383 5.1995
angles (deg): 90.00 90.00 129.70
Atoms (fractional coordinates):
Gd  0.1830  0.8170  0.7500
Gd  0.8170  0.1830  0.2500
Ru  0.5000  0.5000  0.0000
Ru  0.5000  0.5000  0.5000
C  0.0721  0.2421  0.7500
C  0.2421  0.0721  0.2500
C  0.7579  0.9279  0.7500
C  0.9279  0.7579  0.2500



DFT (r²SCAN) results for a relaxed structure of Gd3SnC.

Volume, A^3/atom: 24.22
Formation energy from the elements, eV per atom: -0.691

a b c (Å): 4.9475 4.9475 4.9475
angles (deg): 90.00 90.00 90.00
Atoms (fractional coordinates):
Gd  0.0000  0.0000  0.5000
Gd  0.0000  0.5000  0.0000
Gd  0.5000  0.0000  0.0000
Sn  0.5000  0.5000  0.5000
C  0.0000  0.0000  0.0000



DFT (r²SCAN) results for a relaxed structure of Gd3TlC.

Volume, A^3/atom: 24.53
Formation energy from the elements, eV per atom: -0.496

a b c (Å): 4.9684 4.9684 4.9684
angles (deg): 90.00 90.00 90.00
Atoms (fractional coordinates):
Gd  0.0000  0.0000  0.5000
Gd  0.0000  0.5000  0.0000
Gd  0.5000  0.0000  0.0000
Tl  0.5000  0.5000  0.5000
C  0.0000  0.0000  0.0000



DFT (r²SCAN) results for a relaxed structure of GdWC2.

Volume, A^3/atom: 13.29
Formation energy from the elements, eV per atom: -0.316

a b c (Å): 5.7543 3.4194 10.8088
angles (deg): 90.00 90.00 90.00
Atoms (fractional coordinates):
Gd  0.0852  0.2500  0.1376
Gd  0.4148  0.7500  0.6376
Gd  0.5852  0.2500  0.3624
Gd  0.9148  0.7500  0.8624
W  0.0940  0.7500  0.3891
W  0.4060  0.2500  0.8891
W  0.5940  0.7500  0.1109
W  0.9060  0.2500  0.6109
C  0.1601  0.2500  0.7523
C  0.2159  0.2500  0.4801
C  0.2841  0.7500  0.9801
C  0.3399  0.7500  0.2523
C  0.6601  0.2500  0.7477
C  0.7159  0.2500  0.0199
C  0.7841  0.7500  0.5199
C  0.8399  0.7500  0.2477



DFT (r²SCAN) results for a relaxed structure of Ho5Ge3C.

Volume, A^3/atom: 21.89
Formation energy from the elements, eV per atom: -0.874

a b c (Å): 8.4097 8.4097 6.4330
angles (deg): 90.00 90.00 120.00
Atoms (fractional coordinates):
Ho  0.0000  0.2201  0.2500
Ho  0.0000  0.7799  0.7500
Ho  0.2201  0.0000  0.2500
Ho  0.2201  0.2201  0.7500
Ho  0.3333  0.6667  0.0000
Ho  0.3333  0.6667  0.5000
Ho  0.6667  0.3333  0.0000
Ho  0.6667  0.3333  0.5000
Ho  0.7799  0.0000  0.7500
Ho  0.7799  0.7799  0.2500
Ge  0.0000  0.4092  0.7500
Ge  0.0000  0.5908  0.2500
Ge  0.4092  0.0000  0.7500
Ge  0.4092  0.4092  0.2500
Ge  0.5908  0.0000  0.2500
Ge  0.5908  0.5908  0.7500
C  0.0000  0.0000  0.0000
C  0.0000  0.0000  0.5000



DFT (r²SCAN) results for a relaxed structure of Lu5Ge3C.

Volume, A^3/atom: 20.49
Formation energy from the elements, eV per atom: -0.883

a b c (Å): 8.2358 8.2358 6.2773
angles (deg): 90.00 90.00 120.00
Atoms (fractional coordinates):
Lu  0.0000  0.2190  0.2500
Lu  0.0000  0.7810  0.7500
Lu  0.2190  0.0000  0.2500
Lu  0.2190  0.2190  0.7500
Lu  0.3333  0.6667  0.0000
Lu  0.3333  0.6667  0.5000
Lu  0.6667  0.3333  0.0000
Lu  0.6667  0.3333  0.5000
Lu  0.7810  0.0000  0.7500
Lu  0.7810  0.7810  0.2500
Ge  0.0000  0.4088  0.7500
Ge  0.0000  0.5912  0.2500
Ge  0.4088  0.0000  0.7500
Ge  0.4088  0.4088  0.2500
Ge  0.5912  0.0000  0.2500
Ge  0.5912  0.5912  0.7500
C  0.0000  0.0000  0.0000
C  0.0000  0.0000  0.5000



DFT (r²SCAN) results for a relaxed structure of Nb10Ge6C.

Volume, A^3/atom: 16.10
Formation energy from the elements, eV per atom: -0.581

a b c (Å): 7.6968 7.6968 5.3352
angles (deg): 90.00 90.00 120.00
Atoms (fractional coordinates):
Nb  0.0000  0.2383  0.2434
Nb  0.0000  0.7617  0.7566
Nb  0.2383  0.0000  0.2434
Nb  0.2383  0.2383  0.7566
Nb  0.3333  0.6667  0.0000
Nb  0.3333  0.6667  0.5000
Nb  0.6667  0.3333  0.0000
Nb  0.6667  0.3333  0.5000
Nb  0.7617  0.0000  0.7566
Nb  0.7617  0.7617  0.2434
Ge  0.0000  0.3983  0.7437
Ge  0.0000  0.6017  0.2563
Ge  0.3983  0.0000  0.7437
Ge  0.3983  0.3983  0.2563
Ge  0.6017  0.0000  0.2563
Ge  0.6017  0.6017  0.7437
C  0.0000  0.0000  0.0000